# 1
DFT (meta-GGA r2SCAN) results for a relaxed Lu5Ir2 crystal.

Lattice parameters (Å, degrees): 6.3704 7.0502 8.1935 96.37 112.87 89.99
With the nearest neighbours (Å) after each atom.
Fractional positions:
Lu 0.5703 0.7500 0.0000  4 Ir 2.80-2.86
Lu 0.2145 0.1804 0.5580  3 Ir 2.78-2.93
Lu 0.9688 0.4189 0.1817  2 Ir 2.69-2.78
Lu 0.0312 0.5811 0.8183  2 Ir 2.69-2.78
Lu 0.2129 0.9188 0.1816  2 Ir 2.69-2.78
Lu 0.7855 0.8196 0.4420  3 Ir 2.78-2.93
Lu 0.3437 0.6806 0.5582  3 Ir 2.78-2.94
Lu 0.6563 0.3194 0.4418  3 Ir 2.78-2.94
Lu 0.7871 0.0812 0.8184  2 Ir 2.69-2.78
Lu 0.4297 0.2500 0.0000  4 Ir 2.80-2.86
Ir 0.8291 0.0716 0.2172  7 Lu 2.69-2.93
Ir 0.6117 0.4284 0.7827  7 Lu 2.69-2.94
Ir 0.3883 0.5716 0.2173  7 Lu 2.69-2.94
Ir 0.1709 0.9284 0.7828  7 Lu 2.69-2.93

Summary:
* crystal system: monoclinic
* ΔE_f: -0.835 eV per atom
* final energy: -300.966 eV/f.u.

=====

# 2
DFT (meta-GGA r2SCAN) results for a relaxed Lu2IrPd crystal.

Lattice parameters (Å, degrees): 4.7580 4.7580 4.7580 60.00 60.00 60.00
With the nearest neighbours (Å) after each atom.
Fractional positions:
Lu 0.0000 0.0000 0.0000  4 Ir 2.91, 4 Pd 2.91
Lu 0.5000 0.5000 0.5000  4 Pd 2.91, 4 Ir 2.91
Ir 0.2500 0.2500 0.2500  8 Lu 2.91
Pd 0.7500 0.7500 0.7500  8 Lu 2.91

Summary:
* crystal system: cubic
* ΔE_f: -1.106 eV per atom
* final energy: -155.904 eV/f.u.

=====

> Among the records above, which one has the highest ΔE_f?

Lu5Ir2